Entry 1:
Pr2MgTi4O12: optimized geometry, PBE-GGA.

Properties
* E_form: -64.59 eV/f.u.
* ρ: 3.984 g cm⁻³
* total energy after the MP2020 corrections: -166.71 eV/cell

Cell: 5.7244 5.8045 9.3443 Å, 106.74 97.31 75.57°
Positions (direct):
1 Pr 0.0252 0.9571 0.7298
2 Pr 0.4027 0.4057 0.3312
3 Mg 0.5266 0.6837 0.1100
4 Ti 0.0689 0.6181 0.9785
5 Ti 0.9198 0.4026 0.5574
6 Ti 0.4907 0.9653 0.4966
7 Ti 0.5046 0.0621 0.9445
8 O 0.1848 0.6260 0.1675
9 O 0.1748 0.2614 0.9141
10 O 0.2360 0.2645 0.5057
11 O 0.2787 0.7885 0.5220
12 O 0.2778 0.8115 0.9490
13 O 0.5016 0.9500 0.3017
14 O 0.5961 0.0235 0.7602
15 O 0.6037 0.3113 0.0887
16 O 0.7606 0.1651 0.5508
17 O 0.7481 0.7898 0.0064
18 O 0.7382 0.6082 0.4496
19 O 0.9693 0.5794 0.7449


Entry 2:
MgPt3O4: optimized geometry, PBE-GGA.

Properties
* E_form: -8.84 eV/f.u.
* ρ: 11.370 g cm⁻³
* total energy after the MP2020 corrections: -96.89 eV/cell

Cell: 5.8161 5.8161 5.8161 Å, 90.00 90.00 90.00°
Positions (direct):
1 Mg 0.0000 0.0000 0.0000
2 Mg 0.5000 0.5000 0.5000
3 Pt 0.2500 0.0000 0.5000
4 Pt 0.7500 0.0000 0.5000
5 Pt 0.5000 0.2500 0.0000
6 Pt 0.5000 0.7500 0.0000
7 Pt 0.0000 0.5000 0.2500
8 Pt 0.0000 0.5000 0.7500
9 O 0.2500 0.2500 0.2500
10 O 0.7500 0.7500 0.7500
11 O 0.7500 0.7500 0.2500
12 O 0.7500 0.2500 0.7500
13 O 0.2500 0.2500 0.7500
14 O 0.2500 0.7500 0.2500
15 O 0.2500 0.7500 0.7500
16 O 0.7500 0.2500 0.2500


Entry 3:
Sm2MgPtO6: optimized geometry, PBE-GGA.

Properties
* E_form: -28.89 eV/f.u.
* ρ: 8.311 g cm⁻³
* total energy after the MP2020 corrections: -151.37 eV/cell

Cell: 5.7600 5.4572 9.5228 Å, 55.34 90.00 90.00°
Positions (direct):
1 Sm 0.4334 0.2317 0.7490
2 Sm 0.5666 0.7683 0.2510
3 Sm 0.9334 0.7683 0.7510
4 Sm 0.0666 0.2317 0.2490
5 Mg 0.0000 0.5000 0.5000
6 Mg 0.5000 0.5000 0.0000
7 Pt 0.0000 0.0000 0.0000
8 Pt 0.5000 0.0000 0.5000
9 O 0.0383 0.3568 0.7521
10 O 0.9617 0.6432 0.2479
11 O 0.5383 0.6432 0.7479
12 O 0.4617 0.3568 0.2521
13 O 0.7020 0.8651 0.9428
14 O 0.2980 0.1349 0.0572
15 O 0.2020 0.1349 0.5572
16 O 0.7980 0.8651 0.4428
17 O 0.1981 0.7507 0.9456
18 O 0.8019 0.2493 0.0544
19 O 0.6981 0.2493 0.5544
20 O 0.3019 0.7507 0.4456